Record 1
# Nb4CoS8

A relaxed structure of Nb4CoS8 (GGA-PBE, the Materials Project database).

Cell and atoms, written as extended XYZ:
```
26
Lattice="6.692 0.000 0.000 -3.346 5.796 0.000 0.000 0.000 11.803" Properties=species:S:1:pos:R:3 pbc="T T T"
Nb 0.000 0.000 2.951
Nb 0.000 0.000 8.853
Nb -1.612 2.933 2.951
Nb 1.612 2.933 2.951
Nb 0.000 5.725 2.951
Nb 3.346 0.071 8.853
Nb 1.734 2.862 8.853
Nb 4.958 2.862 8.853
Co 0.000 0.000 0.000
Co 0.000 0.000 5.902
S 0.000 1.917 7.286
S 0.000 1.917 10.419
S -1.686 4.837 7.286
S -1.686 4.837 10.419
S 1.660 0.958 1.385
S 1.660 0.958 4.517
S 0.000 3.864 1.341
S 0.000 3.864 4.561
S 3.346 1.932 7.243
S 3.346 1.932 10.462
S 1.686 4.837 7.286
S 1.686 4.837 10.419
S 5.032 0.958 1.385
S 5.032 0.958 4.517
S 3.346 3.879 1.385
S 3.346 3.879 4.517
```

---

Record 2
# Nb3CoSe6

A relaxed structure of Nb3CoSe6 (GGA-PBE, the Materials Project database).

Cell and atoms, written as extended XYZ:
```
20
Lattice="6.078 0.000 0.000 -3.039 5.263 0.000 0.000 0.000 12.346" Properties=species:S:1:pos:R:3 pbc="T T T"
Nb 0.000 0.000 0.000
Nb 0.000 0.000 6.173
Nb 0.000 3.509 12.342
Nb 0.000 3.509 6.177
Nb 3.039 1.754 0.004
Nb 3.039 1.754 6.169
Co 0.000 3.509 3.087
Co 3.039 1.754 9.260
Se -0.991 1.755 10.676
Se -2.015 3.528 7.844
Se 0.991 1.755 7.844
Se -1.024 5.244 10.676
Se 2.015 0.019 1.671
Se 1.024 1.736 4.502
Se 2.015 3.528 10.676
Se 1.024 5.244 7.844
Se 4.062 0.019 4.502
Se 2.048 3.509 1.671
Se 5.053 1.736 1.671
Se 4.030 3.509 4.502
```

---

Record 3
# Nb4CoSe8

A relaxed structure of Nb4CoSe8 (GGA-PBE, the Materials Project database).

Cell and atoms, written as extended XYZ:
```
26
Lattice="6.994 0.000 0.000 -3.497 6.057 0.000 0.000 0.000 12.417" Properties=species:S:1:pos:R:3 pbc="T T T"
Nb 0.000 0.000 3.104
Nb 0.000 0.000 9.312
Nb -1.664 3.077 3.104
Nb 1.664 3.077 3.104
Nb 0.000 5.960 3.104
Nb 3.497 0.097 9.312
Nb 1.833 2.980 9.312
Nb 5.161 2.980 9.312
Co 0.000 0.000 0.000
Co 0.000 0.000 6.208
Se 0.000 2.015 7.667
Se 0.000 2.015 10.958
Se -1.752 5.049 7.667
Se -1.752 5.049 10.958
Se 1.745 1.008 1.459
Se 1.745 1.008 4.749
Se 0.000 4.038 1.377
Se 0.000 4.038 4.831
Se 3.497 2.019 7.585
Se 3.497 2.019 11.039
Se 1.752 5.049 7.667
Se 1.752 5.049 10.958
Se 5.249 1.008 1.459
Se 5.249 1.008 4.749
Se 3.497 4.042 1.459
Se 3.497 4.042 4.749
```

---

Record 4
# Nb2Co2Si3

A relaxed structure of Nb2Co2Si3 (GGA-PBE, the Materials Project database).

Cell and atoms, written as extended XYZ:
```
28
Lattice="-6.101 6.101 2.527 6.101 -6.101 2.527 6.101 6.101 -2.527" Properties=species:S:1:pos:R:3 pbc="T T T"
Nb 2.374 0.000 0.000
Nb 9.828 0.000 0.000
Nb 0.000 2.374 0.000
Nb 4.451 4.451 0.000
Nb 1.650 -1.650 2.527
Nb -1.650 1.650 2.527
Nb 1.650 1.650 2.527
Nb 0.000 9.828 0.000
Co 4.422 -1.679 1.263
Co 7.780 -1.679 1.263
Co 4.422 1.679 1.263
Co 7.780 1.679 1.263
Co -1.679 4.422 1.263
Co 1.679 4.422 1.263
Co -1.679 7.780 1.263
Co 1.679 7.780 1.263
Si 6.101 0.000 0.000
Si 6.101 2.540 0.000
Si 2.606 2.606 0.000
Si 9.596 2.606 0.000
Si 0.000 0.000 1.234
Si 0.000 6.101 0.000
Si 2.540 6.101 0.000
Si 3.561 0.000 2.527
Si 0.000 0.000 3.819
Si -3.495 3.495 2.527
Si 3.495 3.495 2.527
Si 0.000 3.561 2.527
```

---

Record 5
# NbCoSi

A relaxed structure of NbCoSi (GGA-PBE, the Materials Project database).

Cell and atoms, written as extended XYZ:
```
12
Lattice="6.271 0.000 0.000 0.000 3.666 0.000 0.000 0.000 7.068" Properties=species:S:1:pos:R:3 pbc="T T T"
Nb 0.125 0.916 1.273
Nb 3.010 2.749 4.807
Nb 3.261 0.916 2.261
Nb 6.145 2.749 5.795
Co 0.887 0.916 3.984
Co 2.249 2.749 0.450
Co 4.022 0.916 6.618
Co 5.384 2.749 3.084
Si 1.408 2.749 2.703
Si 1.728 0.916 6.237
Si 4.543 2.749 0.830
Si 4.863 0.916 4.364
```

---

Record 6
# Nb13Co40Si31

A relaxed structure of Nb13Co40Si31 (GGA-PBE, the Materials Project database).

Cell and atoms, written as extended XYZ:
```
168
Lattice="17.153 0.000 0.000 -8.577 14.855 0.000 0.000 0.000 7.874" Properties=species:S:1:pos:R:3 pbc="T T T"
Nb 0.000 0.000 1.572
Nb 0.000 0.000 6.302
Nb -2.339 4.051 2.346
Nb -2.339 4.051 5.528
Nb -6.238 10.805 2.346
Nb -6.238 10.805 5.528
Nb -2.308 8.571 3.937
Nb 0.000 7.247 0.000
Nb -2.301 11.232 0.000
Nb 4.677 0.000 2.346
Nb 4.677 0.000 5.528
Nb 2.339 4.051 2.346
Nb 2.339 4.051 5.528
Nb 2.308 8.571 3.937
Nb 0.000 12.568 3.937
Nb 6.276 3.623 0.000
Nb 2.301 11.232 0.000
Nb 8.577 2.287 3.937
Nb 6.269 6.284 3.937
Nb 12.476 0.000 2.346
Nb 12.476 0.000 5.528
Nb 6.238 10.805 2.346
Nb 6.238 10.805 5.528
Nb 10.877 3.623 0.000
Nb 8.577 7.608 0.000
Nb 10.884 6.284 3.937
Co -3.589 6.217 3.937
Co -4.987 8.639 3.937
Co -1.287 4.769 0.000
Co -5.090 11.356 0.000
Co 0.000 2.637 1.916
Co 0.000 2.637 5.958
Co -3.143 8.089 0.000
Co -6.293 13.537 1.916
Co -6.293 13.537 5.958
Co -2.053 6.612 1.801
Co -2.053 6.612 6.072
Co -3.877 9.771 1.801
Co -3.877 9.771 6.072
Co 0.000 4.212 3.937
Co -4.929 12.749 3.937
Co 2.284 1.319 1.916
Co 2.284 1.319 5.958
Co 1.287 4.769 0.000
Co -3.803 13.585 0.000
Co 0.000 7.774 2.698
Co 0.000 7.774 5.176
Co -1.844 10.968 2.698
Co -1.844 10.968 5.176
Co 3.647 2.106 3.937
Co 4.774 1.270 0.000
Co 3.486 3.499 0.000
Co 0.000 9.903 0.000
Co 2.053 6.612 1.801
Co 2.053 6.612 6.072
Co -1.824 13.327 1.801
Co -1.824 13.327 6.072
Co 7.178 0.000 3.937
Co 3.589 6.217 3.937
Co 6.753 1.528 1.801
Co 6.753 1.528 6.072
Co 4.700 5.084 1.801
Co 4.700 5.084 6.072
Co 3.143 8.089 0.000
Co 0.000 13.533 0.000
Co 1.844 10.968 2.698
Co 1.844 10.968 5.176
Co 6.732 3.887 2.698
Co 6.732 3.887 5.176
Co 8.577 1.322 0.000
Co 5.433 6.767 0.000
Co 3.877 9.771 1.801
Co 3.877 9.771 6.072
Co 1.824 13.327 1.801
Co 1.824 13.327 6.072
Co 9.975 0.000 3.937
Co 4.987 8.639 3.937
Co 10.400 1.528 1.801
Co 10.400 1.528 6.072
Co 6.524 8.243 1.801
Co 6.524 8.243 6.072
Co 8.577 4.952 0.000
Co 5.090 11.356 0.000
Co 3.803 13.585 0.000
Co 4.929 12.749 3.937
Co 10.421 3.887 2.698
Co 10.421 3.887 5.176
Co 8.577 7.082 2.698
Co 8.577 7.082 5.176
Co 12.380 1.270 0.000
Co 7.289 10.086 0.000
Co 6.293 13.537 1.916
Co 6.293 13.537 5.958
Co 13.506 2.106 3.937
Co 8.577 10.643 3.937
Co 12.453 5.084 1.801
Co 12.453 5.084 6.072
Co 10.630 8.243 1.801
Co 10.630 8.243 6.072
Co 14.869 1.319 1.916
Co 14.869 1.319 5.958
Co 11.720 6.767 0.000
Co 8.577 12.218 1.916
Co 8.577 12.218 5.958
Co 13.667 3.499 0.000
Co 9.864 10.086 0.000
Si -1.246 2.159 3.937
Si -1.383 2.395 0.000
Si -3.325 5.759 0.000
Si -4.288 7.428 2.054
Si -4.288 7.428 5.819
Si -5.252 9.096 0.000
Si -7.194 12.460 0.000
Si -7.330 12.697 3.937
Si -1.319 6.101 3.937
Si -3.952 10.663 3.937
Si 2.493 0.000 3.937
Si 1.246 2.159 3.937
Si 2.766 0.000 0.000
Si 1.383 2.395 0.000
Si 0.000 5.311 1.853
Si 0.000 5.311 6.021
Si -3.977 12.199 1.853
Si -3.977 12.199 6.021
Si -1.588 8.986 1.429
Si -1.588 8.986 6.445
Si 1.319 6.101 3.937
Si -2.634 12.947 3.937
Si 0.000 9.903 3.937
Si 4.600 2.656 1.853
Si 4.600 2.656 6.021
Si 6.650 0.000 0.000
Si 3.325 5.759 0.000
Si 1.588 8.986 1.429
Si 1.588 8.986 6.445
Si 0.000 11.738 1.429
Si 0.000 11.738 6.445
Si 5.943 1.908 3.937
Si 4.624 4.193 3.937
Si 8.577 0.000 2.054
Si 8.577 0.000 5.819
Si 4.288 7.428 2.054
Si 4.288 7.428 5.819
Si 3.952 10.663 3.937
Si 2.634 12.947 3.937
Si 8.577 3.118 1.429
Si 8.577 3.118 6.445
Si 6.988 5.869 1.429
Si 6.988 5.869 6.445
Si 10.503 0.000 0.000
Si 5.252 9.096 0.000
Si 3.977 12.199 1.853
Si 3.977 12.199 6.021
Si 8.577 4.952 3.937
Si 11.210 1.908 3.937
Si 7.258 8.754 3.937
Si 10.165 5.869 1.429
Si 10.165 5.869 6.445
Si 12.553 2.656 1.853
Si 12.553 2.656 6.021
Si 8.577 9.544 1.853
Si 8.577 9.544 6.021
Si 14.387 0.000 0.000
Si 7.194 12.460 0.000
Si 14.661 0.000 3.937
Si 7.330 12.697 3.937
Si 12.529 4.193 3.937
Si 9.895 8.754 3.937
```

---

Number 1: energy relative to the elements -1316 meV per atom. Number 2: energy relative to the elements -1044 meV per atom. Number 3: energy relative to the elements -1082 meV per atom. Number 4: energy relative to the elements -531 meV per atom. Number 5: energy relative to the elements -707 meV per atom. Number 6: energy relative to the elements -561 meV per atom.